# 1
## SmNi3 (meta-GGA r2SCAN)

Data for crystalline SmNi3 at its relaxed geometry.

Values from the calculation:
ΔE_f: -0.312 eV per atom
DFT total energy: -66.92 eV/f.u.

Cell and atoms, written as POSCAR:
```
SmNi3
1.0
3.054 3.144 -2.335
0.659 4.593 1.769
7.417 -0.059 4.349
Ni Sm
9 3
direct
0.419 0.419 0.242 Ni
0.667 0.667 0.999 Ni
0.500 0.500 0.500 Ni
0.581 0.581 0.758 Ni
0.333 0.333 0.001 Ni
0.081 0.581 0.758 Ni
0.919 0.419 0.242 Ni
0.581 0.081 0.758 Ni
0.419 0.919 0.242 Ni
0.861 0.861 0.416 Sm
0.000 0.000 0.000 Sm
0.139 0.139 0.584 Sm
```

# 2
## YHoAl2 (meta-GGA r2SCAN)

Data for crystalline YHoAl2 at its relaxed geometry.

Values from the calculation:
ΔE_f: -0.436 eV per atom
DFT total energy: -68.40 eV/f.u.

Cell and atoms, written as POSCAR:
```
YHoAl2
1.0
-0.167 -1.736 4.763
-4.456 -1.192 2.110
-1.166 -4.855 0.891
Ho Al Y
1 2 1
direct
0.250 0.250 0.250 Ho
0.000 0.000 0.000 Al
0.500 0.500 0.500 Al
0.750 0.750 0.750 Y
```

# 3
## Ti2TcIr (meta-GGA r2SCAN)

Data for crystalline Ti2TcIr at its relaxed geometry.

Values from the calculation:
ΔE_f: -0.939 eV per atom
DFT total energy: -107.95 eV/f.u.

Cell and atoms, written as POSCAR:
```
Ti2TcIr
1.0
-3.566 0.458 2.481
-1.437 3.991 1.043
-3.701 1.517 -1.755
Ir Ti Tc
1 2 1
direct
0.250 0.250 0.250 Ir
0.500 0.500 0.500 Ti
0.000 0.000 0.000 Ti
0.750 0.750 0.750 Tc
```

# 4
## Pm2CdGa (meta-GGA r2SCAN)

Data for crystalline Pm2CdGa at its relaxed geometry.

Values from the calculation:
ΔE_f: -0.513 eV per atom
DFT total energy: -92.68 eV/f.u.

Cell and atoms, written as POSCAR:
```
Pm2CdGa
1.0
4.880 -0.723 1.907
1.509 2.487 4.417
0.715 -2.742 4.466
Cd Ga Pm
1 1 2
direct
0.500 0.500 0.500 Cd
0.000 0.000 0.000 Ga
0.750 0.750 0.750 Pm
0.250 0.250 0.250 Pm
```

# 5
## ErS2 (meta-GGA r2SCAN)

Data for crystalline ErS2 at its relaxed geometry.

Values from the calculation:
ΔE_f: -1.945 eV per atom
DFT total energy: -55.83 eV/f.u.

Cell and atoms, written as POSCAR:
```
ErS2
1.0
0.000 -3.858 0.000
-7.790 0.000 -0.014
-0.020 0.000 -7.809
S Er
8 4
direct
0.738 0.626 0.369 S
0.839 0.389 0.004 S
0.238 0.874 0.631 S
0.161 0.611 0.996 S
0.661 0.889 0.004 S
0.762 0.126 0.369 S
0.339 0.111 0.996 S
0.262 0.374 0.631 S
0.789 0.129 0.725 Er
0.711 0.629 0.725 Er
0.289 0.371 0.275 Er
0.211 0.871 0.275 Er
```

# 6
## Li2YbSn (meta-GGA r2SCAN)

Data for crystalline Li2YbSn at its relaxed geometry.

Values from the calculation:
ΔE_f: -0.394 eV per atom
DFT total energy: -67.63 eV/f.u.

Cell and atoms, written as POSCAR:
```
Li2YbSn
1.0
0.000 3.341 3.341
3.341 0.000 3.341
3.341 3.341 0.000
Li Sn Yb
2 1 1
direct
0.750 0.750 0.750 Li
0.250 0.250 0.250 Li
0.000 0.000 0.000 Sn
0.500 0.500 0.500 Yb
```